# La4FeSb2Se10 | Materials Project | PBE-GGA | optimized geometry
data_La4FeSb2Se10
_chemical_formula_sum 'La16 Fe4 Sb8 Se40'
_cell_length_a 15.736
_cell_length_b 7.960
_cell_length_c 13.837
_cell_angle_alpha 90.00
_cell_angle_beta 90.00
_cell_angle_gamma 90.00
_space_group_name_H-M_alt 'P b c m'
_space_group_IT_number 57
loop_
_space_group_symop_operation_xyz
'x,y,z'
'-x,-y,-z'
'-x,-y,z+1/2'
'x,y,-z+1/2'
'x,-y+1/2,-z'
'-x,y+1/2,z'
'-x,y+1/2,-z+1/2'
'x,-y+1/2,z+1/2'
loop_
_atom_site_label
_atom_site_type_symbol
_atom_site_fract_x
_atom_site_fract_y
_atom_site_fract_z
La1 La 0.065 0.129 0.250
La2 La 0.125 0.750 0.000
La3 La 0.311 0.626 0.750
La4 La 0.377 0.250 0.000
Fe1 Fe 0.124 0.250 0.000
Sb1 Sb 0.215 0.053 0.750
Sb2 Sb 0.464 0.551 0.250
Se1 Se 0.036 0.084 0.605
Se2 Se 0.126 0.743 0.250
Se3 Se 0.210 0.078 0.102
Se4 Se 0.294 0.586 0.101
Se5 Se 0.374 0.243 0.750
Se6 Se 0.455 0.583 0.601
# total energy after the MP2020 corrections = -5.68 eV/atom